{"formula": "TiO2", "functional": "PBE", "state": "relaxed", "dft_energy_ev_per_cell": -104.69, "delta_e_f_ev_per_atom": -3.251, "m_tot_mub_per_cell": 0.0, "energy_mp2020_ev_per_cell": -110.183, "cell": [[4.902, 0.000, 0.000], [0.000, 4.902, 0.000], [0.000, 0.000, 4.902]], "species": ["Ti", "Ti", "Ti", "Ti", "O", "O", "O", "O", "O", "O", "O", "O"], "frac_coords": [[0.000, 0.000, 0.000], [0.000, 0.500, 0.500], [0.500, 0.000, 0.500], [0.500, 0.500, 0.000], [0.159, 0.659, 0.841], [0.159, 0.841, 0.341], [0.341, 0.159, 0.841], [0.341, 0.341, 0.341], [0.659, 0.659, 0.659], [0.659, 0.841, 0.159], [0.841, 0.159, 0.659], [0.841, 0.341, 0.159]]}